# 1
! CaCu2P2 (PBE, relaxed); values from VASP
&SYSTEM
  ibrav = 0, nat = 5, ntyp = 3
/
ATOMIC_SPECIES
P 30.97 P.upf
Cu 63.55 Cu.upf
Ca 40.08 Ca.upf
CELL_PARAMETERS angstrom
-2.863 -3.100 3.743
-5.623 -0.271 -0.355
4.460 -0.580 -3.404
ATOMIC_POSITIONS angstrom
P -3.237 -1.286 1.292
P -5.249 -2.085 2.095
Cu -1.323 -2.682 1.017
Cu -2.703 -1.268 -1.033
Ca 0.000 0.000 0.000
! calculated formation energy	-53.7	kJ/mol of atoms

=====

# 2
! SmNi2B2 (PBE, relaxed); values from VASP
&SYSTEM
  ibrav = 0, nat = 10, ntyp = 3
/
ATOMIC_SPECIES
Ni 58.69 Ni.upf
B 10.81 B.upf
Sm 150.36 Sm.upf
CELL_PARAMETERS angstrom
2.688 4.227 0.000
-2.688 4.227 0.000
0.000 4.135 5.468
ATOMIC_POSITIONS angstrom
Ni 0.506 8.598 4.375
Ni -0.506 6.531 1.641
Ni -0.506 3.990 1.093
Ni 0.506 6.058 3.827
B 0.942 2.876 0.128
B 0.942 7.645 2.606
B -0.942 9.713 5.340
B -0.942 4.943 2.862
Sm -2.043 7.328 4.101
Sm 2.043 5.260 1.367
! calculated formation energy	-49.4	kJ/mol of atoms